A relaxed Fe6O5F7 crystal. Source: the Materials Project, functional PBE+U.

Geometry as POSCAR:
```
Fe6O5F7
1.0
4.7816 0.0000 0.0000
0.1123 5.6961 0.0000
0.0805 0.6267 7.8052
Fe O F
6 5 7
Direct
0.0000 0.0000 0.0000 Fe
0.0026 0.6605 0.3304 Fe
0.4454 0.1392 0.3208 Fe
0.4574 0.4761 0.0053 Fe
0.4798 0.8044 0.6400 Fe
0.9287 0.3392 0.6774 Fe
0.1665 0.6941 0.0945 O
0.2688 0.1978 0.0892 O
0.2719 0.8449 0.4370 O
0.7692 0.2805 0.8963 O
0.7775 0.6149 0.5566 O
0.1595 0.3545 0.4453 F
0.1700 0.0237 0.7556 F
0.2751 0.5212 0.7605 F
0.6546 0.7806 0.8841 F
0.6732 0.1133 0.5641 F
0.6748 0.4566 0.2304 F
0.7820 0.9452 0.2244 F
```

Output
Formation energy from the elements ... -2086.8 meV/atom
Corrected total energy (MP2020 scheme) ... -7.03 eV per atom
M_tot ... 29.00 μB/cell

=====

A relaxed Fe4OF7 crystal. Source: the Materials Project, functional PBE+U.

Geometry as POSCAR:
```
Fe4OF7
1.0
3.1819 -6.8056 0.0000
3.1819 6.8056 0.0000
0.0000 0.0000 6.8974
Fe O F
8 2 14
Direct
0.1289 0.8711 0.7500 Fe
0.1412 0.3995 0.7500 Fe
0.3704 0.6296 0.2500 Fe
0.3995 0.1412 0.2500 Fe
0.6005 0.8588 0.7500 Fe
0.6296 0.3704 0.7500 Fe
0.8588 0.6005 0.2500 Fe
0.8711 0.1289 0.2500 Fe
0.2761 0.7239 0.7500 O
0.7239 0.2761 0.2500 O
0.0310 0.9690 0.2500 F
0.1326 0.3728 0.0432 F
0.1326 0.3728 0.4568 F
0.2214 0.7786 0.2500 F
0.3728 0.1326 0.5432 F
0.3728 0.1326 0.9568 F
0.4802 0.5198 0.7500 F
0.5198 0.4802 0.2500 F
0.6272 0.8674 0.0432 F
0.6272 0.8674 0.4568 F
0.7786 0.2214 0.7500 F
0.8674 0.6272 0.5432 F
0.8674 0.6272 0.9568 F
0.9690 0.0310 0.7500 F
```

Output
Formation energy from the elements ... -2388.4 meV/atom
Corrected total energy (MP2020 scheme) ... -6.74 eV per atom
M_tot ... 34.00 μB/cell

=====

A relaxed Fe2O3F crystal. Source: the Materials Project, functional PBE+U.

Geometry as POSCAR:
```
Fe2O3F
1.0
3.1998 -3.4391 0.0000
3.1998 3.4391 0.0000
0.0000 0.0000 12.0435
Fe O F
8 12 4
Direct
0.0000 0.0000 0.0000 Fe
0.0000 0.0000 0.5000 Fe
0.0120 0.9880 0.7500 Fe
0.4721 0.5279 0.6250 Fe
0.4721 0.5279 0.8750 Fe
0.5279 0.4721 0.1250 Fe
0.5279 0.4721 0.3750 Fe
0.9880 0.0120 0.2500 Fe
0.1808 0.8192 0.6215 O
0.1808 0.8192 0.8785 O
0.2961 0.3177 0.7500 O
0.3076 0.3076 0.0000 O
0.3076 0.3076 0.5000 O
0.3177 0.2961 0.2500 O
0.6823 0.7039 0.7500 O
0.6924 0.6924 0.0000 O
0.6924 0.6924 0.5000 O
0.7039 0.6823 0.2500 O
0.8192 0.1808 0.1215 O
0.8192 0.1808 0.3785 O
0.2011 0.7989 0.1266 F
0.2011 0.7989 0.3734 F
0.7989 0.2011 0.6266 F
0.7989 0.2011 0.8734 F
```

Output
Formation energy from the elements ... -828.0 meV/atom
Corrected total energy (MP2020 scheme) ... -6.44 eV per atom
M_tot ... 0.00 μB/cell

=====

A relaxed Fe5O2F8 crystal. Source: the Materials Project, functional PBE+U.

Geometry as POSCAR:
```
Fe5O2F8
1.0
4.8080 0.0000 0.0000
0.0762 5.7801 0.0000
0.1315 2.7004 13.3018
Fe O F
10 4 16
Direct
0.0000 0.0000 0.0000 Fe
0.0012 0.5981 0.1987 Fe
0.4543 0.5272 0.0062 Fe
0.4726 0.9092 0.8112 Fe
0.4763 0.1303 0.1993 Fe
0.5045 0.6896 0.3987 Fe
0.5319 0.3247 0.5979 Fe
0.9723 0.7894 0.6048 Fe
0.9772 0.2131 0.4090 Fe
0.9795 0.4106 0.7976 Fe
0.2876 0.8100 0.9481 O
0.3034 0.4151 0.1402 O
0.6703 0.3782 0.4677 O
0.7854 0.5113 0.6588 O
0.1635 0.5263 0.3418 F
0.1803 0.1030 0.5502 F
0.1871 0.7454 0.7340 F
0.1945 0.9342 0.1491 F
0.1970 0.3283 0.9391 F
0.2824 0.6215 0.5457 F
0.2983 0.0330 0.3395 F
0.2977 0.2415 0.7307 F
0.6795 0.8124 0.2548 F
0.6876 0.5733 0.8732 F
0.6903 0.9996 0.6595 F
0.6899 0.1862 0.0635 F
0.7797 0.6789 0.0655 F
0.7848 0.2727 0.2647 F
0.7877 0.0899 0.8594 F
0.8029 0.8847 0.4681 F
```

Output
Formation energy from the elements ... -2326.7 meV/atom
Corrected total energy (MP2020 scheme) ... -6.83 eV per atom
M_tot ... 44.00 μB/cell